[1]
VASP calculation (r2SCAN) on a geometry-optimized U8MnS17 structure.

The value obtained for the density is 7.10 g cm⁻³. As for the formation energy: -1772 meV/atom. Its electronic total energy is -32.19 eV/atom. Its crystal system is monoclinic. The value obtained for the spin magnetization is 11.0 μB/f.u.

It has space group C2/m (No. 12), with a = 13.456 Å, b = 8.434 Å, c = 10.534 Å, α = 90.00°, β = 101.47° and γ = 90.00°. The inequivalent atoms are U at (0.057, 0.244, 0.204), U at (0.184, 0.500, 0.519), U at (0.206, 0.000, 0.957), Mn at (0.000, 0.000, 0.500), S at (0.000, 0.000, 0.000), S at (0.021, 0.500, 0.670), S at (0.059, 0.000, 0.732), S at (0.128, 0.303, 0.967), S at (0.135, 0.195, 0.466), S at (0.196, 0.500, 0.252) and S at (0.208, 0.000, 0.220).

---

[2]
VASP calculation (r2SCAN) on a geometry-optimized Yb3DySb3 structure.

The value obtained for the density is 9.40 g cm⁻³. As for the formation energy: -1069 meV/atom. Its electronic total energy is -32.31 eV/atom. Its crystal system is monoclinic. The value obtained for the spin magnetization is 0.0 μB/f.u.

It has space group Cc (No. 9), with a = 9.047 Å, b = 12.806 Å, c = 7.825 Å, α = 90.00°, β = 125.28° and γ = 90.00°. The inequivalent atoms are Yb at (0.000, 0.001, 0.000), Yb at (0.106, 0.251, 0.209), Yb at (0.325, 0.176, 0.856), Dy at (0.074, 0.428, 0.856), Sb at (0.253, 0.373, 0.607), Sb at (0.309, 0.064, 0.478) and Sb at (0.440, 0.313, 0.231).